# 1
A plane-wave DFT calculation with PBE+U was carried out for a relaxed structure of Mn6O5F7.

Computed properties:
Energy (eV per atom): -6.653
Total moment (μB/atom): 1.3889
Corrected total energy (MP2020 scheme) (eV for the cell shown): -272.859
Excess energy over the best structure of this formula in the dataset (eV/atom): 0.0342

Unit cell a=4.723 b=5.700 c=15.640 alpha=90.00 beta=90.21 gamma=90.00
Sites, in units of the cell vectors:
Mn1 0.000 0.136 0.000
Mn2 0.000 0.864 0.500
Mn3 0.039 0.153 0.334
Mn4 0.039 0.847 0.834
Mn5 0.043 0.151 0.658
Mn6 0.043 0.849 0.158
Mn7 0.464 0.330 0.828
Mn8 0.464 0.670 0.328
Mn9 0.471 0.340 0.490
Mn10 0.471 0.660 0.990
Mn11 0.543 0.352 0.161
Mn12 0.543 0.648 0.661
O1 0.211 0.101 0.893
O2 0.211 0.899 0.393
O3 0.225 0.117 0.550
O4 0.225 0.883 0.050
O5 0.276 0.385 0.387
O6 0.276 0.615 0.887
O7 0.308 0.390 0.710
O8 0.308 0.610 0.210
O9 0.808 0.117 0.110
O10 0.808 0.883 0.610
F1 0.281 0.384 0.053
F2 0.281 0.616 0.553
F3 0.297 0.113 0.223
F4 0.297 0.887 0.723
F5 0.728 0.368 0.942
F6 0.728 0.632 0.442
F7 0.734 0.383 0.593
F8 0.734 0.617 0.093
F9 0.744 0.122 0.435
F10 0.744 0.878 0.935
F11 0.781 0.383 0.276
F12 0.781 0.617 0.776
F13 0.814 0.114 0.769
F14 0.814 0.886 0.269


# 2
A plane-wave DFT calculation with PBE+U was carried out for a relaxed structure of Li2VCrO4.

Computed properties:
Energy (eV per atom): -6.919
Total moment (μB/atom): 0.6255
Corrected total energy (MP2020 scheme) (eV for the cell shown): -185.385
Excess energy over the best structure of this formula in the dataset (eV/atom): 0.0181

Unit cell a=5.152 b=5.999 c=7.872 alpha=79.17 beta=71.21 gamma=89.96
Sites, in units of the cell vectors:
Li1 0.000 0.090 0.168
Li2 0.000 0.910 0.832
Li3 0.001 0.420 0.833
Li4 0.002 0.254 0.497
Li5 0.998 0.746 0.503
Li6 0.999 0.580 0.167
V1 0.500 0.000 0.500
V2 0.500 0.164 0.834
V3 0.500 0.836 0.166
Cr1 0.499 0.663 0.833
Cr2 0.500 0.500 0.500
Cr3 0.501 0.337 0.167
O1 0.272 0.703 0.663
O2 0.273 0.050 0.328
O3 0.273 0.874 0.993
O4 0.274 0.210 0.659
O5 0.274 0.377 0.995
O6 0.275 0.546 0.327
O7 0.725 0.454 0.673
O8 0.726 0.623 0.005
O9 0.726 0.790 0.341
O10 0.727 0.126 0.007
O11 0.727 0.950 0.672
O12 0.728 0.297 0.337


# 3
A plane-wave DFT calculation with PBE+U was carried out for a relaxed structure of Li2Mn2Si4O11.

Computed properties:
Energy (eV per atom): -7.429
Total moment (μB/atom): 0.5263
Corrected total energy (MP2020 scheme) (eV for the cell shown): -304.081
Excess energy over the best structure of this formula in the dataset (eV/atom): 0.0591

Unit cell a=7.076 b=7.699 c=9.767 alpha=97.82 beta=101.83 gamma=111.23
Sites, in units of the cell vectors:
Li1 0.094 0.409 0.059
Li2 0.385 0.610 0.946
Li3 0.615 0.390 0.054
Li4 0.906 0.591 0.941
Mn1 0.109 0.659 0.714
Mn2 0.332 0.213 0.259
Mn3 0.668 0.787 0.741
Mn4 0.891 0.341 0.286
Si1 0.046 0.769 0.261
Si2 0.217 0.029 0.901
Si3 0.248 0.371 0.553
Si4 0.476 0.780 0.263
Si5 0.524 0.220 0.737
Si6 0.752 0.629 0.447
Si7 0.783 0.971 0.099
Si8 0.954 0.231 0.739
O1 0.008 0.065 0.809
O2 0.021 0.253 0.589
O3 0.066 0.438 0.850
O4 0.124 0.809 0.911
O5 0.189 0.352 0.379
O6 0.306 0.867 0.305
O7 0.343 0.592 0.649
O8 0.345 0.187 0.050
O9 0.357 0.035 0.782
O10 0.380 0.592 0.137
O11 0.401 0.255 0.586
O12 0.599 0.745 0.414
O13 0.620 0.408 0.863
O14 0.643 0.965 0.218
O15 0.655 0.813 0.950
O16 0.657 0.408 0.351
O17 0.694 0.133 0.695
O18 0.811 0.648 0.621
O19 0.876 0.191 0.089
O20 0.934 0.562 0.150
O21 0.979 0.747 0.411
O22 0.992 0.935 0.191


# 4
A plane-wave DFT calculation with PBE+U was carried out for a relaxed structure of CaMg6CrO8.

Computed properties:
Energy (eV per atom): -6.179
Total moment (μB/atom): 0.2500
Corrected total energy (MP2020 scheme) (eV for the cell shown): -106.361
Excess energy over the best structure of this formula in the dataset (eV/atom): 0.0023

Unit cell a=4.424 b=4.424 c=8.616 alpha=90.00 beta=90.00 gamma=90.00
Sites, in units of the cell vectors:
Ca1 0.000 0.000 0.000
Mg1 0.000 0.500 0.257
Mg2 0.000 0.500 0.743
Mg3 0.500 0.000 0.257
Mg4 0.500 0.000 0.743
Mg5 0.500 0.500 0.000
Mg6 0.500 0.500 0.500
Cr1 0.000 0.000 0.500
O1 0.000 0.000 0.263
O2 0.000 0.000 0.737
O3 0.000 0.500 0.000
O4 0.000 0.500 0.500
O5 0.500 0.000 0.000
O6 0.500 0.000 0.500
O7 0.500 0.500 0.250
O8 0.500 0.500 0.750


# 5
A plane-wave DFT calculation with PBE+U was carried out for a relaxed structure of Rb2CoHgF6.

Computed properties:
Energy (eV per atom): -3.922
Total moment (μB/atom): 0.0999
Corrected total energy (MP2020 scheme) (eV for the cell shown): -43.627

Unit cell a=6.211 b=6.211 c=6.211 alpha=60.00 beta=60.00 gamma=60.00
Sites, in units of the cell vectors:
Rb1 0.250 0.250 0.250
Rb2 0.750 0.750 0.750
Co1 0.000 0.000 0.000
Hg1 0.500 0.500 0.500
F1 0.233 0.233 0.767
F2 0.233 0.767 0.233
F3 0.233 0.767 0.767
F4 0.767 0.233 0.233
F5 0.767 0.233 0.767
F6 0.767 0.767 0.233


# 6
A plane-wave DFT calculation with PBE+U was carried out for a relaxed structure of Li9Mn2Co5O16.

Computed properties:
Energy (eV per atom): -5.776
Total moment (μB/atom): 0.5581
Corrected total energy (MP2020 scheme) (eV for the cell shown): -207.346
Excess energy over the best structure of this formula in the dataset (eV/atom): 0.0787

Unit cell a=9.898 b=9.898 c=10.117 alpha=93.12 beta=93.12 gamma=17.12
Sites, in units of the cell vectors:
Li1 0.000 0.000 0.000
Li2 0.116 0.116 0.678
Li3 0.119 0.119 0.193
Li4 0.378 0.378 0.559
Li5 0.389 0.389 0.063
Li6 0.611 0.611 0.937
Li7 0.622 0.622 0.441
Li8 0.881 0.881 0.807
Li9 0.884 0.884 0.322
Mn1 0.250 0.250 0.873
Mn2 0.750 0.750 0.127
Co1 0.000 0.000 0.500
Co2 0.252 0.252 0.381
Co3 0.499 0.499 0.763
Co4 0.501 0.501 0.237
Co5 0.748 0.748 0.619
O1 0.056 0.056 0.351
O2 0.060 0.060 0.836
O3 0.190 0.190 0.534
O4 0.198 0.198 0.037
O5 0.305 0.305 0.201
O6 0.305 0.305 0.726
O7 0.440 0.440 0.891
O8 0.444 0.444 0.404
O9 0.556 0.556 0.596
O10 0.560 0.560 0.109
O11 0.695 0.695 0.274
O12 0.695 0.695 0.799
O13 0.802 0.802 0.963
O14 0.810 0.810 0.466
O15 0.940 0.940 0.164
O16 0.944 0.944 0.649


# 7
A plane-wave DFT calculation with PBE+U was carried out for a relaxed structure of Li7Mn5O12.

Computed properties:
Energy (eV per atom): -6.386
Total moment (μB/atom): 0.7504
Corrected total energy (MP2020 scheme) (eV for the cell shown): -169.857
Excess energy over the best structure of this formula in the dataset (eV/atom): 0.0189

Unit cell a=5.853 b=5.932 c=7.786 alpha=82.03 beta=68.73 gamma=61.34
Sites, in units of the cell vectors:
Li1 0.000 0.000 0.000
Li2 0.005 0.488 0.009
Li3 0.182 0.816 0.340
Li4 0.333 0.634 0.697
Li5 0.501 0.493 0.009
Li6 0.678 0.334 0.331
Li7 0.838 0.148 0.679
Mn1 0.178 0.327 0.337
Mn2 0.339 0.153 0.678
Mn3 0.500 0.988 0.009
Mn4 0.679 0.816 0.338
Mn5 0.845 0.642 0.681
O1 0.074 0.634 0.201
O2 0.115 0.154 0.178
O3 0.273 0.476 0.490
O4 0.278 0.012 0.490
O5 0.411 0.823 0.864
O6 0.425 0.284 0.848
O7 0.565 0.168 0.167
O8 0.587 0.695 0.168
O9 0.741 0.955 0.525
O10 0.796 0.466 0.504
O11 0.889 0.827 0.847
O12 0.945 0.330 0.819


# 8
A plane-wave DFT calculation with PBE+U was carried out for a relaxed structure of Li2MnFe2O6.

Computed properties:
Energy (eV per atom): -6.377
Total moment (μB/atom): 1.1818
Corrected total energy (MP2020 scheme) (eV for the cell shown): -241.342

Unit cell a=6.702 b=6.738 c=8.421 alpha=71.07 beta=70.74 gamma=83.07
Sites, in units of the cell vectors:
Li1 0.000 0.173 0.332
Li2 0.000 0.827 0.668
Li3 0.332 0.174 0.998
Li4 0.332 0.498 0.671
Li5 0.668 0.502 0.329
Li6 0.668 0.826 0.002
Mn1 0.000 0.500 0.500
Mn2 0.332 0.501 0.166
Mn3 0.668 0.499 0.834
Fe1 0.003 0.834 0.165
Fe2 0.332 0.842 0.832
Fe3 0.337 0.162 0.502
Fe4 0.663 0.838 0.498
Fe5 0.668 0.158 0.168
Fe6 0.997 0.166 0.835
O1 0.009 0.854 0.914
O2 0.019 0.195 0.577
O3 0.020 0.507 0.264
O4 0.313 0.487 0.409
O5 0.315 0.162 0.751
O6 0.323 0.806 0.078
O7 0.342 0.201 0.245
O8 0.344 0.843 0.593
O9 0.363 0.506 0.922
O10 0.637 0.494 0.078
O11 0.656 0.157 0.407
O12 0.658 0.799 0.755
O13 0.677 0.194 0.922
O14 0.685 0.838 0.249
O15 0.687 0.513 0.591
O16 0.980 0.493 0.736
O17 0.981 0.805 0.423
O18 0.991 0.146 0.086


Please write out number 6 again, unchanged.
A plane-wave DFT calculation with PBE+U was carried out for a relaxed structure of Li9Mn2Co5O16.

Computed properties:
Energy (eV per atom): -5.776
Total moment (μB/atom): 0.5581
Corrected total energy (MP2020 scheme) (eV for the cell shown): -207.346
Excess energy over the best structure of this formula in the dataset (eV/atom): 0.0787

Unit cell a=9.898 b=9.898 c=10.117 alpha=93.12 beta=93.12 gamma=17.12
Sites, in units of the cell vectors:
Li1 0.000 0.000 0.000
Li2 0.116 0.116 0.678
Li3 0.119 0.119 0.193
Li4 0.378 0.378 0.559
Li5 0.389 0.389 0.063
Li6 0.611 0.611 0.937
Li7 0.622 0.622 0.441
Li8 0.881 0.881 0.807
Li9 0.884 0.884 0.322
Mn1 0.250 0.250 0.873
Mn2 0.750 0.750 0.127
Co1 0.000 0.000 0.500
Co2 0.252 0.252 0.381
Co3 0.499 0.499 0.763
Co4 0.501 0.501 0.237
Co5 0.748 0.748 0.619
O1 0.056 0.056 0.351
O2 0.060 0.060 0.836
O3 0.190 0.190 0.534
O4 0.198 0.198 0.037
O5 0.305 0.305 0.201
O6 0.305 0.305 0.726
O7 0.440 0.440 0.891
O8 0.444 0.444 0.404
O9 0.556 0.556 0.596
O10 0.560 0.560 0.109
O11 0.695 0.695 0.274
O12 0.695 0.695 0.799
O13 0.802 0.802 0.963
O14 0.810 0.810 0.466
O15 0.940 0.940 0.164
O16 0.944 0.944 0.649


> The highest corrected total energy (MP2020 scheme) belongs to which entry?

Rb2CoHgF6


> Look up the energy of the seventh one.

-6.386 eV per atom